No. 1
Computed, not measured: a geometry-optimized CaI2O12 structure at the GGA-PBE level of DFT.

The calculated formation energy is -0.34 eV per atom. For the total energy, the calculation gives -4.51 eV per atom. As for the polymorph energy (0 for the lowest one): 131 meV/atom. The value obtained for the calculated volume is 562.6 Å³/cell.

```
data_CaI2O12
_space_group_name_H-M_alt 'P 1'
_space_group_IT_number 1
_space_group_name_Hall 'P 1'
_cell_length_a 12.6115
_cell_length_b 11.0087
_cell_length_c 8.1408
_cell_angle_alpha 80.88
_cell_angle_beta 59.53
_cell_angle_gamma 39.59
loop_
_atom_site_label
_atom_site_type_symbol
_atom_site_fract_x
_atom_site_fract_y
_atom_site_fract_z
Ca1 Ca 0.9191 0.5809 0.5809
Ca2 Ca 0.6691 0.3309 0.3309
I1 I 0.1043 0.1034 0.3490
I2 I 0.4432 0.3490 0.1034
I3 I 0.9010 0.8068 0.1457
I4 I 0.1466 0.1457 0.8068
O1 O 0.2237 0.1331 0.9553
O2 O 0.6879 0.9553 0.1331
O3 O 0.2947 0.5621 0.0263
O4 O 0.1169 0.0263 0.5621
O5 O 0.9467 0.1964 0.0057
O6 O 0.8512 0.0057 0.1964
O7 O 0.2443 0.3988 0.3033
O8 O 0.0536 0.3033 0.3988
O9 O 0.6387 0.6849 0.3995
O10 O 0.2769 0.3995 0.6849
O11 O 0.8505 0.9731 0.6113
O12 O 0.5651 0.6113 0.9731
O13 O 0.8064 0.7967 0.4014
O14 O 0.9955 0.4014 0.7967
O15 O 0.8486 0.2545 0.4436
O16 O 0.4533 0.4436 0.2545
O17 O 0.6270 0.6282 0.8092
O18 O 0.9355 0.8092 0.6282
O19 O 0.4408 0.3145 0.6230
O20 O 0.6218 0.6230 0.3145
O21 O 0.4786 0.5486 0.6937
O22 O 0.2791 0.6937 0.5486
O23 O 0.5563 0.9709 0.7714
O24 O 0.7014 0.7714 0.9709
```

***

No. 2
Computed, not measured: a geometry-optimized TaRe structure at the GGA-PBE level of DFT.

The calculated formation energy is -0.20 eV per atom. For the total energy, the calculation gives -12.35 eV per atom. The value obtained for the calculated volume is 32.9 Å³/cell.

```
data_TaRe
_space_group_name_H-M_alt 'P 1'
_space_group_IT_number 1
_space_group_name_Hall 'P 1'
_cell_length_a 2.8034
_cell_length_b 2.8034
_cell_length_c 4.4677
_cell_angle_alpha 90.00
_cell_angle_beta 90.00
_cell_angle_gamma 110.43
loop_
_atom_site_label
_atom_site_type_symbol
_atom_site_fract_x
_atom_site_fract_y
_atom_site_fract_z
Ta1 Ta 0.5000 0.5000 0.5000
Re1 Re 0.0000 0.0000 0.0000
```

***

No. 3
Computed, not measured: a geometry-optimized InS2 structure at the GGA-PBE level of DFT.

The calculated formation energy is -0.41 eV per atom. For the total energy, the calculation gives -3.75 eV per atom. The value obtained for the calculated volume is 121.7 Å³/cell.

```
data_InS2
_space_group_name_H-M_alt 'P 1'
_space_group_IT_number 1
_space_group_name_Hall 'P 1'
_cell_length_a 3.6525
_cell_length_b 3.6525
_cell_length_c 9.1220
_cell_angle_alpha 90.00
_cell_angle_beta 90.00
_cell_angle_gamma 90.00
loop_
_atom_site_label
_atom_site_type_symbol
_atom_site_fract_x
_atom_site_fract_y
_atom_site_fract_z
In1 In 0.0000 0.5000 0.7091
In2 In 0.5000 0.0000 0.2909
S1 S 0.0000 0.5000 0.3638
S2 S 0.5000 0.0000 0.6362
S3 S 0.0000 0.0000 0.0000
S4 S 0.5000 0.5000 0.0000
```

***

No. 4
Computed, not measured: a geometry-optimized MnAs structure at the GGA-PBE level of DFT.

The calculated formation energy is 0.17 eV per atom. For the total energy, the calculation gives -6.74 eV per atom. The value obtained for the calculated volume is 46.0 Å³/cell.

```
data_MnAs
_space_group_name_H-M_alt 'P 1'
_space_group_IT_number 1
_space_group_name_Hall 'P 1'
_cell_length_a 4.0221
_cell_length_b 4.0221
_cell_length_c 4.0221
_cell_angle_alpha 60.00
_cell_angle_beta 60.00
_cell_angle_gamma 60.00
loop_
_atom_site_label
_atom_site_type_symbol
_atom_site_fract_x
_atom_site_fract_y
_atom_site_fract_z
Mn1 Mn 0.0000 0.0000 0.0000
As1 As 0.2500 0.2500 0.2500
```

***

No. 5
Computed, not measured: a geometry-optimized LaMg14Nb structure at the GGA-PBE level of DFT.

The calculated formation energy is 0.12 eV per atom. For the total energy, the calculation gives -2.22 eV per atom. As for the polymorph energy (0 for the lowest one): 30 meV/atom. The value obtained for the calculated volume is 376.0 Å³/cell.

```
data_LaMg14Nb
_space_group_name_H-M_alt 'P 1'
_space_group_IT_number 1
_space_group_name_Hall 'P 1'
_cell_length_a 6.5406
_cell_length_b 6.5406
_cell_length_c 10.1503
_cell_angle_alpha 90.00
_cell_angle_beta 90.00
_cell_angle_gamma 120.00
loop_
_atom_site_label
_atom_site_type_symbol
_atom_site_fract_x
_atom_site_fract_y
_atom_site_fract_z
La1 La 0.1667 0.3333 0.1250
Mg1 Mg 0.1760 0.8380 0.1250
Mg2 Mg 0.1657 0.8329 0.6250
Mg3 Mg 0.6620 0.3240 0.1250
Mg4 Mg 0.6671 0.3343 0.6250
Mg5 Mg 0.6620 0.8380 0.1250
Mg6 Mg 0.6671 0.8329 0.6250
Mg7 Mg 0.3327 0.1673 0.3880
Mg8 Mg 0.3327 0.1673 0.8620
Mg9 Mg 0.3327 0.6654 0.3880
Mg10 Mg 0.3327 0.6654 0.8620
Mg11 Mg 0.8346 0.1673 0.3880
Mg12 Mg 0.8346 0.1673 0.8620
Mg13 Mg 0.8333 0.6667 0.3701
Mg14 Mg 0.8333 0.6667 0.8799
Nb1 Nb 0.1667 0.3333 0.6250
```

***

No. 6
Computed, not measured: a geometry-optimized Na2UO4 structure at the GGA-PBE level of DFT.

The calculated formation energy is -3.02 eV per atom. For the total energy, the calculation gives -7.45 eV per atom. The value obtained for the calculated volume is 417.9 Å³/cell.

```
data_Na2UO4
_space_group_name_H-M_alt 'P 1'
_space_group_IT_number 1
_space_group_name_Hall 'P 1'
_cell_length_a 5.8425
_cell_length_b 6.0084
_cell_length_c 11.9041
_cell_angle_alpha 90.00
_cell_angle_beta 90.00
_cell_angle_gamma 90.00
loop_
_atom_site_label
_atom_site_type_symbol
_atom_site_fract_x
_atom_site_fract_y
_atom_site_fract_z
Na1 Na 0.0008 0.0532 0.3361
Na2 Na 0.5008 0.4468 0.6639
Na3 Na 0.9992 0.5532 0.1639
Na4 Na 0.4992 0.9468 0.8361
Na5 Na 0.5008 0.0532 0.1639
Na6 Na 0.0008 0.4468 0.8361
Na7 Na 0.4992 0.5532 0.3361
Na8 Na 0.9992 0.9468 0.6639
U1 U 0.0000 0.0000 0.0000
U2 U 0.5000 0.5000 0.0000
U3 U 0.0000 0.5000 0.5000
U4 U 0.5000 0.0000 0.5000
O1 O 0.6067 0.9644 0.3465
O2 O 0.1067 0.5356 0.6535
O3 O 0.3933 0.4644 0.1535
O4 O 0.8933 0.0356 0.8465
O5 O 0.3933 0.0356 0.6535
O6 O 0.8933 0.4644 0.3465
O7 O 0.6067 0.5356 0.8465
O8 O 0.1067 0.9644 0.1535
O9 O 0.7957 0.2088 0.5450
O10 O 0.2957 0.2912 0.4550
O11 O 0.2043 0.7088 0.9550
O12 O 0.7043 0.7912 0.0450
O13 O 0.2957 0.2088 0.9550
O14 O 0.7957 0.2912 0.0450
O15 O 0.7043 0.7088 0.5450
O16 O 0.2043 0.7912 0.4550
```

***

No. 7
Computed, not measured: a geometry-optimized NiS2 structure at the GGA-PBE level of DFT.

The calculated formation energy is -0.40 eV per atom. For the total energy, the calculation gives -4.75 eV per atom. The value obtained for the calculated volume is 106.9 Å³/cell.

```
data_NiS2
_space_group_name_H-M_alt 'P 1'
_space_group_IT_number 1
_space_group_name_Hall 'P 1'
_cell_length_a 3.5163
_cell_length_b 3.5163
_cell_length_c 9.9846
_cell_angle_alpha 90.00
_cell_angle_beta 90.00
_cell_angle_gamma 120.00
loop_
_atom_site_label
_atom_site_type_symbol
_atom_site_fract_x
_atom_site_fract_y
_atom_site_fract_z
Ni1 Ni 0.3333 0.6667 0.2500
Ni2 Ni 0.6667 0.3333 0.7500
S1 S 0.6667 0.3333 0.1427
S2 S 0.6667 0.3333 0.3573
S3 S 0.3333 0.6667 0.6427
S4 S 0.3333 0.6667 0.8573
```

***

No. 8
Computed, not measured: a geometry-optimized TcN structure at the GGA-PBE level of DFT.

The calculated formation energy is -0.08 eV per atom. For the total energy, the calculation gives -9.25 eV per atom. As for the polymorph energy (0 for the lowest one): 95 meV/atom. The value obtained for the calculated volume is 24.2 Å³/cell.

```
data_TcN
_space_group_name_H-M_alt 'P 1'
_space_group_IT_number 1
_space_group_name_Hall 'P 1'
_cell_length_a 3.2462
_cell_length_b 3.2462
_cell_length_c 3.2462
_cell_angle_alpha 60.00
_cell_angle_beta 60.00
_cell_angle_gamma 60.00
loop_
_atom_site_label
_atom_site_type_symbol
_atom_site_fract_x
_atom_site_fract_y
_atom_site_fract_z
Tc1 Tc 0.0000 0.0000 0.0000
N1 N 0.2500 0.2500 0.2500
```

***

Q: Look up the calculated volume of the first one.
A: 562.6 Å³/cell

***

Q: Number 7 is which compound?
A: NiS2

***

Q: Which of these has the lowest calculated volume?
A: TcN